Ba2In2O5 after structural relaxation, computed with PBE.

**Electronic total energy**: -5.788 eV/atom
**DFT formation energy**: -21.45 eV per formula unit

a b c (Å): 6.1011 6.1011 10.5902
angles (deg): 110.44 110.44 59.22
Element x y z (fractional)
Ba  0.0000  0.5000  0.0000
Ba  0.2336  0.7664  0.7500
Ba  0.5000  0.0000  0.5000
Ba  0.7664  0.2336  0.2500
In  0.0913  0.6305  0.3610
In  0.3695  0.9087  0.1390
In  0.6305  0.0913  0.8610
In  0.9087  0.3695  0.6390
O  0.0000  0.0000  0.0000
O  0.0000  0.0000  0.5000
O  0.0000  0.5000  0.5000
O  0.2413  0.3594  0.7974
O  0.2617  0.7383  0.2500
O  0.3594  0.2413  0.2974
O  0.5000  0.0000  0.0000
O  0.6406  0.7587  0.7026
O  0.7383  0.2617  0.7500
O  0.7587  0.6406  0.2026